(1)
{"formula": "Co15O28", "functional": "PBE with a Hubbard U", "state": "optimized geometry", "lattice": [[7.627, 0.000, 0.000], [-1.866, 7.928, 0.000], [-2.372, -2.837, 7.789]], "species": ["Co", "Co", "Co", "Co", "Co", "Co", "Co", "Co", "Co", "Co", "Co", "Co", "Co", "Co", "Co", "O", "O", "O", "O", "O", "O", "O", "O", "O", "O", "O", "O", "O", "O", "O", "O", "O", "O", "O", "O", "O", "O", "O", "O", "O", "O", "O", "O"], "fractional_positions": [[0.000, 0.000, 0.000], [0.000, 0.500, 0.000], [0.081, 0.220, 0.785], [0.141, 0.927, 0.572], [0.214, 0.642, 0.356], [0.294, 0.361, 0.141], [0.364, 0.074, 0.927], [0.429, 0.789, 0.715], [0.500, 0.500, 0.500], [0.571, 0.211, 0.285], [0.636, 0.926, 0.073], [0.706, 0.639, 0.859], [0.786, 0.358, 0.644], [0.859, 0.073, 0.428], [0.919, 0.780, 0.215], [0.028, 0.263, 0.993], [0.048, 0.442, 0.794], [0.095, 0.992, 0.789], [0.120, 0.155, 0.576], [0.170, 0.702, 0.566], [0.182, 0.868, 0.363], [0.242, 0.416, 0.348], [0.258, 0.583, 0.146], [0.300, 0.127, 0.130], [0.337, 0.303, 0.934], [0.382, 0.845, 0.919], [0.402, 0.011, 0.716], [0.453, 0.560, 0.709], [0.472, 0.725, 0.503], [0.528, 0.275, 0.497], [0.547, 0.440, 0.291], [0.598, 0.989, 0.284], [0.618, 0.155, 0.081], [0.663, 0.697, 0.066], [0.700, 0.873, 0.870], [0.742, 0.417, 0.854], [0.758, 0.584, 0.652], [0.818, 0.132, 0.637], [0.830, 0.298, 0.434], [0.880, 0.845, 0.424], [0.905, 0.008, 0.211], [0.952, 0.558, 0.206], [0.972, 0.737, 0.007]]}

(2)
{"formula": "CoO2", "functional": "PBE with a Hubbard U", "state": "optimized geometry", "lattice": [[0.000, 9.060, 2.367], [1.389, 0.000, 2.367], [1.389, 9.060, 0.000]], "species": ["Co", "O", "O"], "fractional_positions": [[0.000, 0.000, 0.000], [0.632, 0.756, 0.244], [0.756, 0.632, 0.368]]}

(3)
{"formula": "CoO2", "functional": "PBE with a Hubbard U", "state": "optimized geometry", "lattice": [[10.340, 0.000, 0.000], [-1.352, 10.430, 0.000], [-0.535, -0.421, 11.091]], "species": ["Co", "Co", "Co", "Co", "Co", "Co", "Co", "Co", "Co", "Co", "Co", "Co", "Co", "Co", "Co", "Co", "Co", "Co", "Co", "Co", "Co", "Co", "Co", "Co", "Co", "Co", "Co", "Co", "Co", "Co", "O", "O", "O", "O", "O", "O", "O", "O", "O", "O", "O", "O", "O", "O", "O", "O", "O", "O", "O", "O", "O", "O", "O", "O", "O", "O", "O", "O", "O", "O", "O", "O", "O", "O", "O", "O", "O", "O", "O", "O", "O", "O", "O", "O", "O", "O", "O", "O", "O", "O", "O", "O", "O", "O", "O", "O", "O", "O", "O", "O"], "fractional_positions": [[0.000, 0.000, 0.000], [0.005, 0.648, 0.028], [0.032, 0.418, 0.235], [0.048, 0.818, 0.432], [0.140, 0.348, 0.017], [0.144, 0.136, 0.820], [0.232, 0.827, 0.875], [0.263, 0.582, 0.417], [0.266, 0.329, 0.306], [0.286, 0.977, 0.624], [0.336, 0.008, 0.379], [0.380, 0.056, 0.921], [0.445, 0.318, 0.940], [0.446, 0.495, 0.153], [0.468, 0.857, 0.130], [0.488, 0.170, 0.224], [0.556, 0.651, 0.565], [0.621, 0.717, 0.309], [0.629, 0.380, 0.678], [0.680, 0.148, 0.604], [0.686, 0.439, 0.223], [0.723, 0.468, 0.943], [0.748, 0.935, 0.426], [0.765, 0.092, 0.819], [0.809, 0.154, 0.140], [0.812, 0.788, 0.894], [0.813, 0.559, 0.488], [0.959, 0.347, 0.633], [0.971, 0.647, 0.748], [0.983, 0.071, 0.572], [0.012, 0.241, 0.526], [0.016, 0.808, 0.246], [0.062, 0.486, 0.081], [0.076, 0.180, 0.961], [0.083, 0.767, 0.622], [0.088, 0.741, 0.188], [0.098, 0.310, 0.767], [0.105, 0.401, 0.857], [0.109, 0.688, 0.877], [0.118, 0.970, 0.888], [0.134, 0.297, 0.178], [0.139, 0.070, 0.664], [0.140, 0.423, 0.381], [0.170, 0.705, 0.410], [0.184, 0.954, 0.445], [0.204, 0.798, 0.665], [0.336, 0.196, 0.837], [0.336, 0.418, 0.026], [0.338, 0.180, 0.315], [0.338, 0.503, 0.282], [0.345, 0.905, 0.008], [0.349, 0.947, 0.788], [0.362, 0.585, 0.811], [0.378, 0.680, 0.881], [0.391, 0.590, 0.541], [0.421, 0.997, 0.532], [0.440, 0.172, 0.041], [0.440, 0.985, 0.252], [0.495, 0.687, 0.190], [0.515, 0.353, 0.244], [0.566, 0.257, 0.562], [0.576, 0.397, 0.838], [0.606, 0.103, 0.745], [0.611, 0.476, 0.073], [0.614, 0.773, 0.700], [0.619, 0.875, 0.023], [0.623, 0.783, 0.461], [0.644, 0.724, 0.802], [0.645, 0.150, 0.190], [0.670, 0.565, 0.354], [0.676, 0.537, 0.602], [0.686, 0.778, 0.018], [0.695, 0.087, 0.450], [0.703, 0.863, 0.266], [0.776, 0.206, 0.968], [0.780, 0.346, 0.332], [0.788, 0.302, 0.690], [0.825, 0.337, 0.958], [0.828, 0.064, 0.656], [0.829, 0.966, 0.897], [0.842, 0.545, 0.185], [0.843, 0.607, 0.906], [0.876, 0.297, 0.266], [0.887, 0.785, 0.750], [0.906, 0.698, 0.448], [0.931, 0.941, 0.454], [0.937, 0.543, 0.275], [0.941, 0.048, 0.133], [0.946, 0.819, 0.005], [0.947, 0.521, 0.623]]}

no.,E (eV/atom),density (g/cm³)
1,-5.7767,4.70
2,-5.2242,2.54
3,-5.5071,3.79